(1)
# SmMg5

A relaxed structure of SmMg5 (meta-GGA r2SCAN, the Materials Project database).

It has space group C2/m (No. 12), with a = 14.148 Å, b = 3.194 Å, c = 6.734 Å, α = 90.00°, β = 103.03° and γ = 90.00°. The distinct sites, in fractional coordinates, are Sm at (0.000, 0.000, 0.000), Mg at (0.000, 0.000, 0.500), Mg at (0.169, 0.500, 0.343) and Mg at (0.174, 0.500, 0.830).

For the formation energy from the elements, the calculation gives -2 meV per atom. The total energy comes out at -8.432 eV/atom.

---

(2)
# NdZnSn

A relaxed structure of NdZnSn (meta-GGA r2SCAN, the Materials Project database).

It has space group P6_3/mmc (No. 194), with a = 4.5239 Å, b = 4.5239 Å, c = 16.7967 Å, α = 90.00°, β = 90.00° and γ = 120.00°. The distinct sites, in fractional coordinates, are Nd at (0.0000, 0.0000, 0.0000), Nd at (0.0000, 0.0000, 0.2500), Zn at (0.3333, 0.6667, 0.1574) and Sn at (0.3333, 0.6667, 0.6164).

For the formation energy from the elements, the calculation gives -737 meV per atom. The total energy comes out at -21.762 eV/atom.

---

(3)
# ErBiRh

A relaxed structure of ErBiRh (meta-GGA r2SCAN, the Materials Project database).

It has space group P-62m (No. 189), with a = 7.5777 Å, b = 7.5777 Å, c = 3.9445 Å, α = 90.00°, β = 90.00° and γ = 120.00°. The distinct sites, in fractional coordinates, are Er at (0.0000, 0.6013, 0.0000), Bi at (0.0000, 0.2670, 0.5000), Rh at (0.0000, 0.0000, 0.0000) and Rh at (0.3333, 0.6667, 0.5000).

For the formation energy from the elements, the calculation gives -811 meV per atom. The total energy comes out at -39.665 eV/atom.

---

(4)
# HoInNi4

A relaxed structure of HoInNi4 (meta-GGA r2SCAN, the Materials Project database).

It has space group F-43m (No. 216), with a = 6.964 Å, b = 6.964 Å, c = 6.964 Å, α = 90.00°, β = 90.00° and γ = 90.00°. The distinct sites, in fractional coordinates, are Ho at (0.000, 0.000, 0.000), In at (0.250, 0.250, 0.250) and Ni at (0.124, 0.124, 0.624).

For the formation energy from the elements, the calculation gives -389 meV per atom. The total energy comes out at -17.620 eV/atom.

---

(5)
# Li2Pt

A relaxed structure of Li2Pt (meta-GGA r2SCAN, the Materials Project database).

It has space group P6/mmm (No. 191), with a = 4.1721 Å, b = 4.1721 Å, c = 2.6425 Å, α = 90.00°, β = 90.00° and γ = 120.00°. The distinct sites, in fractional coordinates, are Li at (0.3333, 0.6667, 0.0000) and Pt at (0.0000, 0.0000, 0.5000).

For the formation energy from the elements, the calculation gives -589 meV per atom. The total energy comes out at -19.342 eV/atom.

---

(6)
# EuVO4

A relaxed structure of EuVO4 (meta-GGA r2SCAN, the Materials Project database).

It has space group Imma (No. 74), with a = 7.283 Å, b = 7.286 Å, c = 6.392 Å, α = 90.00°, β = 90.00° and γ = 90.00°. The distinct sites, in fractional coordinates, are Eu at (0.000, 0.250, 0.130), V at (0.000, 0.250, 0.626), O at (0.000, 0.068, 0.795) and O at (0.181, 0.250, 0.453).

For the formation energy from the elements, the calculation gives -2906 meV per atom. The total energy comes out at -15.656 eV/atom.

---

(7)
# Li4Mg

A relaxed structure of Li4Mg (meta-GGA r2SCAN, the Materials Project database).

It has space group R-3m (No. 166, hexagonal axes), with a = 3.0675 Å, b = 3.0675 Å, c = 38.2838 Å, α = 90.00°, β = 90.00° and γ = 120.00°. The distinct sites, in fractional coordinates, are Li at (0.0000, 0.0000, 0.1000), Li at (0.0000, 0.0000, 0.3000) and Mg at (0.0000, 0.0000, 0.5000).

For the formation energy from the elements, the calculation gives -10 meV per atom. The total energy comes out at -2.753 eV/atom.

---

(8)
# Er2TlHg

A relaxed structure of Er2TlHg (meta-GGA r2SCAN, the Materials Project database).

It has space group Fm-3m (No. 225), with a = 7.394 Å, b = 7.394 Å, c = 7.394 Å, α = 90.00°, β = 90.00° and γ = 90.00°. The distinct sites, in fractional coordinates, are Er at (0.250, 0.250, 0.250), Tl at (0.000, 0.000, 0.000) and Hg at (0.000, 0.000, 0.500).

For the formation energy from the elements, the calculation gives -484 meV per atom. The total energy comes out at -43.084 eV/atom.

---

(9)
# Sr3Sn13Ir4

A relaxed structure of Sr3Sn13Ir4 (meta-GGA r2SCAN, the Materials Project database).

It has space group Pm-3n (No. 223), with a = 9.880 Å, b = 9.880 Å, c = 9.880 Å, α = 90.00°, β = 90.00° and γ = 90.00°. The distinct sites, in fractional coordinates, are Sr at (0.000, 0.250, 0.500), Sn at (0.000, 0.000, 0.000), Sn at (0.000, 0.299, 0.152) and Ir at (0.250, 0.250, 0.250).

For the formation energy from the elements, the calculation gives -462 meV per atom. The total energy comes out at -29.291 eV/atom.

---

(10)
# USeO5

A relaxed structure of USeO5 (meta-GGA r2SCAN, the Materials Project database).

It has space group P2_1/m (No. 11), with a = 4.227 Å, b = 9.390 Å, c = 5.446 Å, α = 90.00°, β = 97.04° and γ = 90.00°. The distinct sites, in fractional coordinates, are U at (0.000, 0.000, 0.000), Se at (0.374, 0.250, 0.687), O at (0.001, 0.250, 0.785), O at (0.044, 0.091, 0.290) and O at (0.491, 0.106, 0.873).

For the formation energy from the elements, the calculation gives -2229 meV per atom. The total energy comes out at -19.960 eV/atom.

---

(11)
# MgZn5

A relaxed structure of MgZn5 (meta-GGA r2SCAN, the Materials Project database).

It has space group P-62m (No. 189), with a = 4.8511 Å, b = 4.8511 Å, c = 4.4358 Å, α = 90.00°, β = 90.00° and γ = 120.00°. The distinct sites, in fractional coordinates, are Mg at (0.0000, 0.0000, 0.0000), Zn at (0.0000, 0.3634, 0.5000) and Zn at (0.3333, 0.6667, 0.0000).

For the formation energy from the elements, the calculation gives -18 meV per atom. The total energy comes out at -8.139 eV/atom.

---

(12)
# ErAlNi

A relaxed structure of ErAlNi (meta-GGA r2SCAN, the Materials Project database).

It has space group P-62m (No. 189), with a = 6.8519 Å, b = 6.8519 Å, c = 3.8583 Å, α = 90.00°, β = 90.00° and γ = 120.00°. The distinct sites, in fractional coordinates, are Er at (0.0000, 0.4170, 0.0000), Al at (0.0000, 0.7654, 0.5000), Ni at (0.0000, 0.0000, 0.0000) and Ni at (0.3333, 0.6667, 0.5000).

For the formation energy from the elements, the calculation gives -632 meV per atom. The total energy comes out at -18.178 eV/atom.